Density functional theory data (PBE with a Hubbard U) for a relaxed Li9Mn2Co5O16 crystal.

Cell lengths 5.906, 6.534, 7.772 Å; angles 86.53, 80.75, 76.88 degrees
Space group P1 (No. 1)
Symmetry-distinct sites (fractional):
Li: 0.000 0.000 0.000 (multiplicity 1)
Li: 0.053 0.125 0.637 (multiplicity 1)
Li: 0.113 0.246 0.272 (multiplicity 1)
Li: 0.232 0.496 0.515 (multiplicity 1)
Li: 0.356 0.759 0.762 (multiplicity 1)
Li: 0.488 0.004 0.012 (multiplicity 1)
Li: 0.607 0.245 0.270 (multiplicity 1)
Li: 0.755 0.487 0.515 (multiplicity 1)
Li: 0.867 0.751 0.762 (multiplicity 1)
Mn: 0.175 0.374 0.884 (multiplicity 1)
Mn: 0.426 0.871 0.393 (multiplicity 1)
Co: 0.304 0.619 0.138 (multiplicity 1)
Co: 0.547 0.121 0.644 (multiplicity 1)
Co: 0.685 0.372 0.882 (multiplicity 1)
Co: 0.804 0.625 0.141 (multiplicity 1)
Co: 0.925 0.887 0.396 (multiplicity 1)
O: 0.011 0.575 0.316 (multiplicity 1)
O: 0.087 0.673 0.954 (multiplicity 1)
O: 0.168 0.813 0.555 (multiplicity 1)
O: 0.223 0.918 0.211 (multiplicity 1)
O: 0.271 0.084 0.827 (multiplicity 1)
O: 0.353 0.162 0.455 (multiplicity 1)
O: 0.377 0.331 0.071 (multiplicity 1)
O: 0.448 0.426 0.724 (multiplicity 1)
O: 0.521 0.576 0.323 (multiplicity 1)
O: 0.598 0.660 0.959 (multiplicity 1)
O: 0.637 0.815 0.567 (multiplicity 1)
O: 0.687 0.923 0.216 (multiplicity 1)
O: 0.752 0.084 0.822 (multiplicity 1)
O: 0.833 0.170 0.448 (multiplicity 1)
O: 0.911 0.320 0.049 (multiplicity 1)
O: 0.974 0.436 0.712 (multiplicity 1)

Calculated values
Relative energy among the computed polymorphs ... 0.0342 eV/atom
Total DFT energy (no corrections) ... -5.8204 eV/atom
ρ ... 4.17 g/cm³
DFT formation energy ... -1.83 eV/atom
Crystal system ... triclinic